A plane-wave DFT calculation with GGA-PBE was carried out for Sr2LuNbO6 after structural relaxation.

E_tot (eV per cell): -157.623
Theoretical density (g/cm³): 6.3
DFT formation energy (eV/atom): -3.52

Cell: 5.8541 5.8525 10.1307 Å, 90.00 125.15 90.00°
Closest atoms and distances in Å follow each position.
Positions (direct):
Sr: 0.7444 0.9744 0.7473  5 O 2.54-2.83
Sr: 0.2556 0.4744 0.7527  5 O 2.54-2.83
Sr: 0.2556 0.0256 0.2527  5 O 2.54-2.83
Sr: 0.7444 0.5256 0.2473  5 O 2.54-2.83
Nb: 0.5000 0.5000 0.5000  6 O 2.03
Nb: 0.5000 0.0000 0.0000  6 O 2.03
O: 0.8116 0.9859 0.2396  1 Nb 2.03, 1 Lu 2.20
O: 0.6650 0.7802 0.4655  1 Nb 2.03, 1 Lu 2.20
O: 0.1884 0.4859 0.2604  1 Nb 2.03, 1 Lu 2.20
O: 0.2647 0.7964 0.0398  1 Nb 2.03, 1 Lu 2.20
O: 0.6650 0.7198 0.9655  1 Nb 2.03, 1 Lu 2.20
O: 0.1884 0.0141 0.7604  1 Nb 2.03, 1 Lu 2.20
O: 0.7353 0.2964 0.4602  1 Nb 2.03, 1 Lu 2.20
O: 0.8116 0.5141 0.7396  1 Nb 2.03, 1 Lu 2.20
O: 0.3350 0.2198 0.5345  1 Nb 2.03, 1 Lu 2.20
O: 0.7353 0.2036 0.9602  1 Nb 2.03, 1 Lu 2.20
O: 0.2647 0.7036 0.5398  1 Nb 2.03, 1 Lu 2.20
O: 0.3350 0.2802 0.0345  1 Nb 2.03, 1 Lu 2.20
Lu: 0.0000 0.0000 0.5000  6 O 2.20
Lu: 0.0000 0.5000 0.0000  6 O 2.20


A plane-wave DFT calculation with GGA-PBE was carried out for KGdTi4O12 after structural relaxation.

E_tot (eV per cell): -149.816
Theoretical density (g/cm³): 4.1
DFT formation energy (eV/atom): -2.88

Cell: 5.4837 5.4837 7.7864 Å, 90.00 90.00 89.76°
Closest atoms and distances in Å follow each position.
Positions (direct):
Ti: 0.0091 0.5041 0.2435  6 O 1.90-2.02
Ti: 0.0091 0.5041 0.7565  6 O 1.90-2.02
Ti: 0.4959 0.9909 0.7565  6 O 1.90-2.02
Ti: 0.4959 0.9909 0.2435  6 O 1.90-2.02
O: 0.9616 0.4846 0.5000  2 Ti 2.02
O: 0.0096 0.5136 0.0000  2 Ti 1.90
O: 0.7491 0.7507 0.2700  2 Ti 1.92-1.97
O: 0.2698 0.7302 0.7121  2 Ti 1.93
O: 0.2493 0.2509 0.2700  2 Ti 1.92-1.97
O: 0.7491 0.7507 0.7300  2 Ti 1.92-1.97
O: 0.7325 0.2675 0.2547  2 Ti 2.00
O: 0.7325 0.2675 0.7453  2 Ti 2.00
O: 0.2493 0.2509 0.7300  2 Ti 1.92-1.97
O: 0.4864 0.9904 0.0000  2 Ti 1.90
O: 0.2698 0.7302 0.2879  2 Ti 1.93
O: 0.5154 0.0384 0.5000  2 Ti 2.02
Gd: 0.5189 0.4811 0.5000  10 O 2.43-2.65
K: 0.9907 0.0093 0.0000  10 O 2.72-2.86


A plane-wave DFT calculation with GGA-PBE was carried out for MnZn2N2 after structural relaxation.

E_tot (eV per cell): -55.721
Theoretical density (g/cm³): 5.5
DFT formation energy (eV/atom): -0.05

Cell: 6.0680 6.0680 7.4428 Å, 56.80 56.80 35.08°
Closest atoms and distances in Å follow each position.
Positions (direct):
Zn: 0.6731 0.6731 0.2127  3 N 2.02-2.10
Zn: 0.9449 0.9449 0.3460  3 N 1.97-2.05
Zn: 0.3269 0.3269 0.7873  3 N 2.02-2.10
Zn: 0.0551 0.0551 0.6540  3 N 1.97-2.05
N: 0.8310 0.8310 0.6697  1 Mn 1.87, 3 Zn 1.97-2.02
N: 0.4986 0.4986 0.1943  2 Mn 1.88-1.96, 3 Zn 2.05-2.10
N: 0.5014 0.5014 0.8057  2 Mn 1.88-1.96, 3 Zn 2.05-2.10
N: 0.1690 0.1690 0.3303  1 Mn 1.87, 3 Zn 1.97-2.02
Mn: 0.3655 0.3655 0.1263  3 N 1.87-1.96
Mn: 0.6345 0.6345 0.8737  3 N 1.87-1.96


A plane-wave DFT calculation with GGA-PBE was carried out for Y2Cd3N4 after structural relaxation.

E_tot (eV per cell): -103.810
Theoretical density (g/cm³): 6.8
DFT formation energy (eV/atom): -0.48

Cell: 7.5408 9.8268 4.9423 Å, 90.00 87.05 130.66°
Closest atoms and distances in Å follow each position.
Positions (direct):
Cd: 0.0000 0.0967 0.2500  2 N 2.14
Cd: 0.5978 0.9150 0.9380  3 N 2.30-2.40
Cd: 0.0000 0.9033 0.7500  2 N 2.14
Cd: 0.4022 0.0850 0.0620  3 N 2.30-2.40
Cd: 0.5978 0.6828 0.4380  3 N 2.30-2.40
Cd: 0.4022 0.3172 0.5620  3 N 2.30-2.40
N: 0.3342 0.0428 0.5333  3 Cd 2.14-2.40
N: 0.6658 0.7086 0.9667  3 Cd 2.14-2.40
N: 0.8051 0.2829 0.0050  1 Cd 2.30, 4 Y 2.37-2.54
N: 0.6658 0.9572 0.4667  3 Cd 2.14-2.40
N: 0.1949 0.4778 0.4950  1 Cd 2.30, 4 Y 2.37-2.54
N: 0.1949 0.7171 0.9950  1 Cd 2.30, 4 Y 2.37-2.54
N: 0.3342 0.2914 0.0333  3 Cd 2.14-2.40
N: 0.8051 0.5222 0.5050  1 Cd 2.30, 4 Y 2.37-2.54
Y: 0.2204 0.7414 0.4801  6 N 2.37-2.55
Y: 0.7796 0.2586 0.5199  6 N 2.37-2.55
Y: 0.2204 0.4790 0.9801  6 N 2.37-2.55
Y: 0.7796 0.5210 0.0199  6 N 2.37-2.55


A plane-wave DFT calculation with GGA-PBE was carried out for ZnH4Br2O2 after structural relaxation.

E_tot (eV per cell): -110.146
Theoretical density (g/cm³): 2.9
DFT formation energy (eV/atom): -1.12

Cell: 8.4486 8.4486 8.4486 Å, 122.16 105.75 101.32°
Closest atoms and distances in Å follow each position.
Positions (direct):
Zn: 0.3444 0.8444 0.5000  4 Br 2.43-2.48
Zn: 0.0000 0.0000 0.0000  6 O 2.12-2.13
Zn: 0.6556 0.1556 0.5000  4 Br 2.43-2.48
O: 0.1983 0.1983 0.0000  2 H 0.98
O: 0.8017 0.8017 0.0000  2 H 0.98
O: 0.8471 0.1771 0.0242  2 H 0.98
O: 0.8471 0.8229 0.6701  2 H 0.98
O: 0.1529 0.8229 0.9758  2 H 0.98
O: 0.1529 0.1771 0.3299  2 H 0.98
Br: 0.9825 0.2934 0.6891  3 H 2.40-2.51, 1 Zn 2.43
Br: 0.6043 0.2934 0.3109  3 H 2.40-2.51, 1 Zn 2.43
Br: 0.5000 0.2255 0.7255  2 Zn 2.48
Br: 0.5000 0.7745 0.2745  2 Zn 2.48
Br: 0.3957 0.7066 0.6891  3 H 2.40-2.51, 1 Zn 2.43
Br: 0.0175 0.7066 0.3109  3 H 2.40-2.51, 1 Zn 2.43
H: 0.8298 0.7501 0.0797  1 O 0.98
H: 0.3295 0.2499 0.0797  1 O 0.98
H: 0.7644 0.6779 0.5874  1 O 0.98
H: 0.2356 0.3221 0.4126  1 O 0.98
H: 0.1702 0.2499 0.9203  1 O 0.98
H: 0.7644 0.1770 0.0865  1 O 0.98
H: 0.6705 0.7501 0.9203  1 O 0.98
H: 0.9095 0.8230 0.5874  1 O 0.98
H: 0.0905 0.6779 0.9135  1 O 0.98
H: 0.0905 0.1770 0.4126  1 O 0.98
H: 0.9095 0.3221 0.0865  1 O 0.98
H: 0.2356 0.8230 0.9135  1 O 0.98


A plane-wave DFT calculation with GGA-PBE was carried out for Li2ZrF6 after structural relaxation.

E_tot (eV per cell): -54.192
Excess energy over the best structure of this formula in the dataset (meV/atom): 0
Theoretical density (g/cm³): 3.5
DFT formation energy (eV/atom): -3.68

Cell: 5.0698 5.0698 4.7246 Å, 90.00 90.00 120.00°
Closest atoms and distances in Å follow each position.
Positions (direct):
Zr: 0.0000 0.0000 0.0000  6 F 2.05
Li: 0.6667 0.3333 0.5000  6 F 2.06
Li: 0.3333 0.6667 0.5000  6 F 2.06
F: 0.3274 0.0000 0.2557  1 Zr 2.05, 2 Li 2.06
F: 0.6726 0.6726 0.2557  1 Zr 2.05, 2 Li 2.06
F: 0.6726 0.0000 0.7443  1 Zr 2.05, 2 Li 2.06
F: 0.0000 0.6726 0.7443  1 Zr 2.05, 2 Li 2.06
F: 0.3274 0.3274 0.7443  1 Zr 2.05, 2 Li 2.06
F: 0.0000 0.3274 0.2557  1 Zr 2.05, 2 Li 2.06


A plane-wave DFT calculation with GGA-PBE was carried out for CaMg6W after structural relaxation.

E_tot (eV per cell): -22.534
Excess energy over the best structure of this formula in the dataset (meV/atom): 0
Theoretical density (g/cm³): 3.5
DFT formation energy (eV/atom): 0.25

Cell: 6.2979 6.2979 4.4167 Å, 90.00 90.00 90.00°
Closest atoms and distances in Å follow each position.
Positions (direct):
Mg: 0.2261 0.7739 0.0000  6 Mg 2.85-3.14, 2 W 2.99
Mg: 0.7739 0.2261 0.0000  6 Mg 2.85-3.14, 2 W 2.99
Mg: 0.5000 0.0000 0.5000  8 Mg 3.14, 2 W 3.15, 2 Ca 3.15
Mg: 0.2261 0.2261 0.0000  6 Mg 2.85-3.14, 2 W 2.99
Mg: 0.0000 0.5000 0.5000  8 Mg 3.14, 2 Ca 3.15, 2 W 3.15
Mg: 0.7739 0.7739 0.0000  6 Mg 2.85-3.14, 2 W 2.99
W: 0.0000 0.0000 0.5000  12 Mg 2.99-3.15
Ca: 0.5000 0.5000 0.5000  12 Mg 3.15-3.29


A plane-wave DFT calculation with GGA-PBE was carried out for Na5OsO6 after structural relaxation.

E_tot (eV per cell): -64.981
Theoretical density (g/cm³): 4.5
DFT formation energy (eV/atom): -1.80

Cell: 5.6538 5.6971 5.6971 Å, 60.57 79.61 100.39°
Closest atoms and distances in Å follow each position.
Positions (direct):
O: 0.7842 0.9291 0.3495  1 Os 1.94
O: 0.7967 0.2015 0.7985  1 Os 1.90
O: 0.2158 0.3495 0.9291  1 Os 1.94
O: 0.7842 0.6505 0.0709  1 Os 1.94
O: 0.2158 0.0709 0.6505  1 Os 1.94
O: 0.2033 0.7985 0.2015  1 Os 1.90
Os: 0.0000 0.0000 0.0000  6 O 1.90-1.94
Na: 0.5000 0.8260 0.8260  6 O 2.35-2.61
Na: 0.0000 0.6670 0.6670  6 O 2.35-2.41
Na: 0.5000 0.5000 0.5000  4 O 2.31
Na: 0.5000 0.1740 0.1740  6 O 2.35-2.61
Na: 0.0000 0.3330 0.3330  6 O 2.35-2.41


A plane-wave DFT calculation with GGA-PBE was carried out for Al5Rh2 after structural relaxation.

E_tot (eV per cell): -154.574
Theoretical density (g/cm³): 5.2
DFT formation energy (eV/atom): -0.74

Cell: 7.9512 7.9512 7.9042 Å, 90.00 90.00 120.00°
Closest atoms and distances in Å follow each position.
Positions (direct):
Al: 0.5288 0.0576 0.7500  3 Rh 2.48-2.69
Al: 0.6144 0.8072 0.5580  2 Rh 2.46-2.58, 1 Al 2.69
Al: 0.3856 0.1928 0.4420  2 Rh 2.46-2.58, 1 Al 2.69
Al: 0.8072 0.1928 0.0580  2 Rh 2.46-2.58, 1 Al 2.69
Al: 0.1928 0.3856 0.9420  2 Rh 2.46-2.58, 1 Al 2.69
Al: 0.0000 0.0000 0.5000  6 Rh 2.66, 6 Al 2.69
Al: 0.5288 0.4712 0.7500  3 Rh 2.48-2.69
Al: 0.8072 0.6144 0.4420  2 Rh 2.46-2.58, 1 Al 2.69
Al: 0.4712 0.5288 0.2500  3 Rh 2.48-2.69
Al: 0.9424 0.4712 0.7500  3 Rh 2.48-2.69
Al: 0.6144 0.8072 0.9420  2 Rh 2.46-2.58, 1 Al 2.69
Al: 0.3856 0.1928 0.0580  2 Rh 2.46-2.58, 1 Al 2.69
Al: 0.8072 0.6144 0.0580  2 Rh 2.46-2.58, 1 Al 2.69
Al: 0.1928 0.8072 0.5580  2 Rh 2.46-2.58, 1 Al 2.69
Al: 0.0576 0.5288 0.2500  3 Rh 2.48-2.69
Al: 0.8072 0.1928 0.4420  2 Rh 2.46-2.58, 1 Al 2.69
Al: 0.0000 0.0000 0.0000  6 Rh 2.66, 6 Al 2.69
Al: 0.4712 0.9424 0.2500  3 Rh 2.48-2.69
Al: 0.1928 0.3856 0.5580  2 Rh 2.46-2.58, 1 Al 2.69
Al: 0.1928 0.8072 0.9420  2 Rh 2.46-2.58, 1 Al 2.69
Rh: 0.7405 0.8702 0.2500  6 Al 2.48-2.66
Rh: 0.2595 0.1298 0.7500  6 Al 2.48-2.66
Rh: 0.1298 0.8702 0.2500  6 Al 2.48-2.66
Rh: 0.8702 0.1298 0.7500  6 Al 2.48-2.66
Rh: 0.1298 0.2595 0.2500  6 Al 2.48-2.66
Rh: 0.3333 0.6667 0.7500  9 Al 2.46-2.69
Rh: 0.6667 0.3333 0.2500  9 Al 2.46-2.69
Rh: 0.8702 0.7405 0.7500  6 Al 2.48-2.66


A plane-wave DFT calculation with GGA-PBE was carried out for KCr5S8 after structural relaxation.

E_tot (eV per cell): -93.696
Theoretical density (g/cm³): 3.5
DFT formation energy (eV/atom): -1.09

Cell: 9.1967 9.1967 8.7175 Å, 74.53 74.53 21.96°
Closest atoms and distances in Å follow each position.
Positions (direct):
K: 0.5000 0.5000 0.5000  10 S 3.33-3.71, 2 K 3.50
Cr: 0.3420 0.3420 0.9710  6 S 2.35-2.54
Cr: 0.0000 0.0000 0.0000  6 S 2.38-2.42
Cr: 0.6580 0.6580 0.0290  6 S 2.35-2.54
Cr: 0.7041 0.7041 0.6660  6 S 2.36-2.53
Cr: 0.2959 0.2959 0.3340  6 S 2.36-2.53
S: 0.9162 0.9162 0.8259  3 Cr 2.35-2.42
S: 0.0838 0.0838 0.1741  3 Cr 2.35-2.42
S: 0.4226 0.4226 0.1464  4 Cr 2.38-2.42
S: 0.5774 0.5774 0.8536  4 Cr 2.38-2.42
S: 0.1717 0.1717 0.5147  3 Cr 2.36
S: 0.8283 0.8283 0.4853  3 Cr 2.36
S: 0.7622 0.7622 0.1550  5 Cr 2.42-2.54
S: 0.2378 0.2378 0.8450  5 Cr 2.42-2.54


A plane-wave DFT calculation with GGA-PBE was carried out for NaTbIrO4 after structural relaxation.

E_tot (eV per cell): -144.357
Theoretical density (g/cm³): 8.6
DFT formation energy (eV/atom): -2.33

Cell: 3.2607 9.6472 9.4028 Å, 120.86 90.00 90.00°
Closest atoms and distances in Å follow each position.
Positions (direct):
Na: 0.5000 0.0001 0.6990  6 O 2.30-2.48
Na: 0.5000 0.3012 0.3010  6 O 2.30-2.48
Na: 0.0000 0.0209 0.0000  6 O 2.39-2.49
Tb: 0.5000 0.7030 0.0000  7 O 2.33-2.37
Tb: 0.5000 0.3147 0.6570  6 O 2.29-2.54
Tb: 0.5000 0.6577 0.3430  6 O 2.29-2.54
O: 0.0000 0.2137 0.7502  1 Ir 2.02
O: 0.0000 0.7438 0.1950  1 Ir 2.10, 2 Tb 2.33
O: 0.5000 0.0000 0.4538  2 Ir 2.03
O: 0.5000 0.8072 0.8199  2 Ir 2.09
O: 0.5000 0.2022 0.0000  2 Ir 2.06
O: 0.0000 0.7842 0.5437  1 Ir 2.02
O: 0.5000 0.4619 0.0000  2 Ir 2.05
O: 0.0000 0.5488 0.8050  1 Ir 2.10, 2 Tb 2.33
O: 0.5000 0.9873 0.1801  2 Ir 2.09
O: 0.0000 0.2405 0.4563  1 Ir 2.02
O: 0.0000 0.4636 0.2498  1 Ir 2.02
O: 0.5000 0.5462 0.5462  2 Ir 2.03
Ir: 0.0000 0.9971 0.3236  6 O 2.02-2.10
Ir: 0.0000 0.6734 0.6764  6 O 2.02-2.10
Ir: 0.0000 0.3324 0.0000  6 O 2.02-2.06


A plane-wave DFT calculation with GGA-PBE was carried out for Ce2Al6CuAu after structural relaxation.

E_tot (eV per cell): -47.156
Theoretical density (g/cm³): 5.9
DFT formation energy (eV/atom): -0.54

Cell: 4.2913 4.2913 10.6771 Å, 90.00 90.00 90.00°
Closest atoms and distances in Å follow each position.
Positions (direct):
Al: 0.0000 0.5000 0.7591  2 Au 2.55, 2 Al 2.69
Al: 0.5000 0.0000 0.7591  2 Au 2.55, 2 Al 2.69
Al: 0.0000 0.0000 0.3974  1 Au 2.48, 4 Al 2.68
Al: 0.5000 0.5000 0.9117  1 Cu 2.37
Al: 0.0000 0.5000 0.2462  2 Cu 2.46, 2 Al 2.68
Al: 0.5000 0.0000 0.2462  2 Cu 2.46, 2 Al 2.68
Au: 0.0000 0.0000 0.6296  5 Al 2.48-2.55
Ce: 0.0000 0.0000 0.9998  12 Al 3.18-3.40, 4 Cu 3.36
Ce: 0.5000 0.5000 0.4910  12 Al 3.19-3.58, 4 Au 3.38
Cu: 0.5000 0.5000 0.1339  5 Al 2.37-2.46